Entry 1:
Density functional theory data (GGA-PBE) for an optimized crystal structure of PrTi6Bi7O24.

Its calculated total energy is -283.68 eV for the cell shown. Its formation energy is -2.685 eV per atom. The crystal system is triclinic.

a b c (Å): 5.4366 5.4767 16.9778
angles (deg): 90.00 81.15 89.59
Last column: nearest neighbours and their distance in Å.
Space group P1 (No. 1)
Asymmetric unit:
Pr 0.0000 0.0000 0.0000  6 O 2.38-2.64
Ti 0.0501 0.5060 0.8704  3 O 1.78-1.96
Ti 0.2911 0.0050 0.3854  3 O 1.78-1.97
Ti 0.4361 0.0071 0.1259  6 O 1.87-2.06
Ti 0.5575 0.0061 0.8709  3 O 1.78-1.96
Ti 0.7906 0.5071 0.3858  2 O 1.78-1.91
Ti 0.9344 0.5056 0.1265  6 O 1.87-2.08
Bi 0.1185 0.9806 0.7049  5 O 2.24-2.50
Bi 0.1920 0.4805 0.5511  5 O 2.24-2.50
Bi 0.3282 0.5096 0.2607  4 O 2.23-2.46
Bi 0.4750 0.4968 0.9918  4 O 2.27-2.51
Bi 0.6185 0.5324 0.7047  5 O 2.24-2.50
Bi 0.6925 0.0319 0.5512  4 O 2.24-2.43
Bi 0.8303 0.0015 0.2598  3 O 2.25-2.36
O 0.0183 0.7930 0.3736  2 Ti 1.93-1.99
O 0.0345 0.4347 0.0127  1 Ti 1.96
O 0.0911 0.2826 0.3514  2 Ti 2.00-2.05, 1 Bi 2.23
O 0.1202 0.5661 0.7663  1 Ti 1.78
O 0.2112 0.2713 0.1496  2 Ti 1.89-2.05
O 0.2148 0.7637 0.1047  2 Ti 1.87-2.08
O 0.2608 0.0654 0.4895  1 Ti 1.78
O 0.2741 0.2313 0.8814  2 Ti 1.95-1.96
O 0.3042 0.7422 0.9066  2 Ti 2.03-2.06, 1 Bi 2.27
O 0.4149 0.2610 0.6302  4 Bi 2.24-2.44
O 0.4165 0.7613 0.6257  4 Bi 2.24-2.44
O 0.4174 0.9355 0.2427  1 Ti 2.01
O 0.4958 0.0790 0.0118  1 Ti 1.95
O 0.5179 0.7204 0.3744  2 Ti 1.91-1.97
O 0.5916 0.2311 0.3515  2 Ti 2.00-2.07
O 0.6212 0.9475 0.7665  1 Ti 1.78
O 0.7162 0.2428 0.1434  2 Ti 1.87-2.06
O 0.7228 0.7619 0.1060  2 Ti 1.87-2.04
O 0.7604 0.4487 0.4898  1 Ti 1.78
O 0.7688 0.2876 0.8840  2 Ti 1.93-1.96
O 0.8079 0.7759 0.9062  2 Ti 2.00-2.01
O 0.9145 0.5802 0.2427  1 Ti 2.00
O 0.9152 0.2527 0.6298  4 Bi 2.24-2.43
O 0.9161 0.7526 0.6262  4 Bi 2.24-2.43

---

Entry 2:
Density functional theory data (GGA-PBE) for an optimized crystal structure of Rb8BiO3.

Its calculated total energy is -33.55 eV for the cell shown. Its formation energy is -0.753 eV per atom. The crystal system is cubic.

a b c (Å): 7.4574 7.4574 7.4574
angles (deg): 90.00 90.00 90.00
Last column: nearest neighbours and their distance in Å.
Space group Pm-3m (No. 221)
Asymmetric unit:
Rb 0.2307 0.2307 0.2307  3 O 3.15, 3 Rb 3.44, 1 Bi 3.48
Bi 0.5000 0.5000 0.5000  8 Rb 3.48
O 0.0000 0.0000 0.5000  8 Rb 3.15

---

Entry 3:
Density functional theory data (GGA-PBE) for an optimized crystal structure of Rb2Bi2O5.

Its calculated total energy is -45.03 eV for the cell shown. Its formation energy is -1.554 eV per atom. The crystal system is tetragonal.

a b c (Å): 4.3674 4.3674 9.0617
angles (deg): 90.00 90.00 90.00
Last column: nearest neighbours and their distance in Å.
Space group P4/mmm (No. 123)
Asymmetric unit:
Rb 0.0000 0.0000 0.0000  12 O 3.09-3.28
Rb 0.0000 0.0000 0.5000  8 O 3.02
Bi 0.5000 0.5000 0.2344  5 O 2.12-2.21
O 0.0000 0.5000 0.2706  2 Bi 2.21
O 0.5000 0.5000 0.0000  2 Bi 2.12

---

Entry 4:
Density functional theory data (GGA-PBE) for an optimized crystal structure of ReBi3O8.

The calculation puts the excess energy over the best structure of this formula in the dataset at 3 meV/atom. Its calculated total energy is -647.83 eV for the cell shown. Its formation energy is -1.898 eV per atom. The crystal system is cubic.

a b c (Å): 11.7656 11.7656 11.7656
angles (deg): 90.00 90.00 90.00
Last column: nearest neighbours and their distance in Å.
Space group I2_13 (No. 199)
Asymmetric unit:
Re 0.1302 0.1302 0.1302  4 O 1.75-1.77
Bi 0.0984 0.1343 0.6159  3 O 2.17-2.39
O 0.0000 0.2500 0.4747  4 Bi 2.39-2.44, 2 O 2.67
O 0.0000 0.2500 0.7203  2 Bi 2.17
O 0.0066 0.3807 0.1884  1 Re 1.75
O 0.0332 0.4668 0.5332  3 Bi 2.18
O 0.2172 0.2172 0.2172  1 Re 1.77

---

Entry 5:
Density functional theory data (GGA-PBE) for an optimized crystal structure of ReBi3O8.

The calculation puts the excess energy over the best structure of this formula in the dataset at 0 meV/atom. Its calculated total energy is -648.12 eV for the cell shown. Its formation energy is -1.901 eV per atom. The crystal system is cubic.

a b c (Å): 11.7541 11.7541 11.7541
angles (deg): 90.00 90.00 90.00
Last column: nearest neighbours and their distance in Å.
Space group P2_13 (No. 198)
Asymmetric unit:
Re 0.1149 0.1149 0.1149  4 O 1.75-1.77
Re 0.1197 0.8803 0.3803  4 O 1.76
Bi 0.1098 0.1464 0.6446  3 O 2.18-2.29
Bi 0.1156 0.8455 0.8640  4 O 2.20-2.40
O 0.0036 0.7394 0.9692  2 Bi 2.18-2.20
O 0.0036 0.7418 0.7291  3 Bi 2.29-2.40
O 0.0279 0.0279 0.0279  1 Re 1.77
O 0.0331 0.9669 0.4669  1 Re 1.76
O 0.0543 0.8566 0.2480  1 Re 1.76
O 0.0584 0.1184 0.2528  1 Re 1.75
O 0.2137 0.2863 0.7137  3 Bi 2.20
O 0.2290 0.7290 0.7710  3 Bi 2.20

---

Entry 6:
Density functional theory data (GGA-PBE) for an optimized crystal structure of Re2BiO6.

Its calculated total energy is -285.99 eV for the cell shown. Its formation energy is -1.906 eV per atom. The crystal system is monoclinic.

a b c (Å): 16.2646 4.9965 5.5923
angles (deg): 90.00 92.26 90.00
Last column: nearest neighbours and their distance in Å.
Space group C2/c (No. 15)
Asymmetric unit:
Re 0.1813 0.2354 0.3876  6 O 1.96-2.05
Bi 0.0000 0.2753 0.7500  4 O 2.17-2.31
O 0.0707 0.4016 0.4173  1 Re 1.99, 1 Bi 2.17
O 0.1388 0.0283 0.1106  2 Re 1.96-1.97
O 0.2158 0.4783 0.6701  3 Re 1.97-2.05

---

Entry 7:
Density functional theory data (GGA-PBE) for an optimized crystal structure of Bi6Rh12O29.

Its calculated total energy is -1187.58 eV for the cell shown. Its formation energy is -1.311 eV per atom. The crystal system is monoclinic.

a b c (Å): 20.1655 12.4902 9.6353
angles (deg): 90.00 96.94 90.00
Last column: nearest neighbours and their distance in Å.
Space group C2/m (No. 12)
Asymmetric unit:
Bi 0.0660 0.1650 0.1572  2 O 2.12-2.38
Bi 0.0711 0.5000 0.1710  5 O 2.30-2.55
Bi 0.0867 0.3337 0.8572  4 O 2.22-2.42
Bi 0.1085 0.0000 0.8148  6 O 2.32-2.53
Rh 0.0000 0.1219 0.5000  6 O 2.05-2.07
Rh 0.0000 0.3718 0.5000  6 O 2.06-2.10
Rh 0.1343 0.0000 0.4944  6 O 2.00-2.07
Rh 0.1342 0.2485 0.5053  6 O 1.96-2.11
Rh 0.1339 0.5000 0.5123  6 O 1.93-2.10
Rh 0.2330 0.3739 0.2760  6 O 1.99-2.11
Rh 0.2369 0.1249 0.2725  6 O 1.99-2.14
Rh 0.2440 0.5000 0.9994  6 O 2.05-2.09
Rh 0.2500 0.2500 0.0000  6 O 2.06-2.08
O 0.0382 0.0000 0.3910  3 Rh 2.05-2.07
O 0.0393 0.2448 0.3920  3 Rh 2.07-2.10
O 0.0387 0.5000 0.4012  3 Rh 2.06-2.08
O 0.0498 0.1359 0.9095  3 Bi 2.32-2.40
O 0.0562 0.3271 0.0922  2 Bi 2.12-2.30
O 0.0573 0.5000 0.9045  2 Bi 2.22
O 0.0933 0.3718 0.6157  3 Rh 2.07-2.10
O 0.0945 0.1187 0.6094  3 Rh 2.06-2.11
O 0.1572 0.3757 0.3909  3 Rh 1.99-2.03
O 0.1589 0.1267 0.3806  3 Rh 1.99-2.04
O 0.1856 0.5000 0.1612  3 Rh 2.06-2.09
O 0.1887 0.2451 0.1567  3 Rh 2.04-2.11
O 0.1924 0.0000 0.1520  3 Rh 2.06-2.08
O 0.1977 0.3713 0.8869  3 Rh 2.08-2.14, 1 Bi 2.27
O 0.2073 0.1210 0.8857  3 Rh 2.05-2.08
O 0.2183 0.0000 0.6284  3 Rh 2.00-2.02
O 0.2190 0.2492 0.6279  3 Rh 1.96-2.00
O 0.2185 0.5000 0.6288  3 Rh 1.93-1.99

---

Entry 8:
Density functional theory data (GGA-PBE) for an optimized crystal structure of Bi2Rh2O7.

Its calculated total energy is -547.07 eV for the cell shown. Its formation energy is -1.459 eV per atom. The crystal system is cubic.

a b c (Å): 10.3999 10.3999 10.3999
angles (deg): 90.00 90.00 90.00
Last column: nearest neighbours and their distance in Å.
Space group Fd-3m (No. 227, origin choice 2)
Asymmetric unit:
Bi 0.0000 0.0000 0.0000  2 O 2.25
Rh 0.0000 0.0000 0.5000  6 O 2.03
O 0.0824 0.3750 0.8750  2 Rh 2.03
O 0.1250 0.1250 0.1250  4 Bi 2.25